Material: La2ZnP2O
Method: DFT, PBE-GGA
State: optimized geometry

Computed properties:
Density (g cm⁻³): 3.913
Formation energy from the elements (meV/atom): -404
M_tot (μB/f.u.): 0.34
MP2020-corrected energy (eV/atom): -4.888

a = 3.515 Å, b = 3.515 Å, c = 14.469 Å
α = 90.00°, β = 90.00°, γ = 90.00°
Space group P4/mmm (No. 123)
Symmetry-distinct sites (fractional):
La 0.000 0.000 0.146
Zn 0.000 0.000 0.500
P 0.000 0.000 0.347
O 0.000 0.000 0.000

Material: Dy3Ge6Pt4
Method: DFT, PBE-GGA
State: optimized geometry

Computed properties:
Density (g cm⁻³): 11.266
Formation energy from the elements (meV/atom): -866
M_tot (μB/f.u.): 0.00

a = 26.246 Å, b = 4.347 Å, c = 8.804 Å
α = 90.00°, β = 90.00°, γ = 90.00°
Space group Pnma (No. 62)
Symmetry-distinct sites (fractional):
Dy 0.093 0.250 0.113
Dy 0.094 0.250 0.635
Dy 0.220 0.250 0.875
Ge 0.001 0.250 0.378
Ge 0.003 0.750 0.129
Ge 0.139 0.750 0.874
Ge 0.142 0.750 0.373
Ge 0.216 0.250 0.227
Ge 0.216 0.250 0.523
Pt 0.045 0.750 0.871
Pt 0.050 0.750 0.379
Pt 0.187 0.750 0.122
Pt 0.187 0.750 0.626

Material: Al12ZnS19
Method: DFT, PBE-GGA
State: optimized geometry

Computed properties:
Density (g cm⁻³): 2.793
Formation energy from the elements (meV/atom): -1182
M_tot (μB/f.u.): 0.00
MP2020-corrected energy (eV/atom): -5.082

a = 7.0585 Å, b = 7.0585 Å, c = 27.5173 Å
α = 90.00°, β = 90.00°, γ = 120.00°
Space group P6_3/mmc (No. 194)
Symmetry-distinct sites (fractional):
Al 0.0000 0.0000 0.0000
Al 0.0000 0.0000 0.2500
Al 0.1681 0.3363 0.1104
Al 0.3333 0.6667 0.5265
Al 0.3333 0.6667 0.6903
Zn 0.3333 0.6667 0.2500
S 0.0000 0.0000 0.1539
S 0.0213 0.5107 0.1557
S 0.1552 0.3105 0.5545
S 0.1837 0.3675 0.7500
S 0.3333 0.6667 0.0562

Material: ZnH16C6S2N4Cl2
Method: DFT, PBE-GGA
State: optimized geometry

Computed properties:
Density (g cm⁻³): 1.569
Formation energy from the elements (meV/atom): -349
M_tot (μB/f.u.): 0.00
MP2020-corrected energy (eV/atom): -5.388

a = 13.254 Å, b = 9.106 Å, c = 12.644 Å
α = 90.00°, β = 107.02°, γ = 90.00°
Space group C2/c (No. 15)
Symmetry-distinct sites (fractional):
Zn 0.000 0.150 0.250
H 0.026 0.231 0.469
H 0.067 0.378 0.624
H 0.113 0.455 0.864
H 0.119 0.217 0.701
H 0.179 0.431 0.008
H 0.203 0.335 0.651
H 0.220 0.328 0.907
H 0.236 0.385 0.345
C 0.123 0.287 0.632
C 0.151 0.093 0.507
C 0.190 0.435 0.925
S 0.109 0.006 0.885
N 0.096 0.207 0.528
N 0.241 0.054 0.584
Cl 0.105 0.301 0.179

Material: Rb2Be2O3
Method: DFT, PBE-GGA
State: optimized geometry

Computed properties:
Density (g cm⁻³): 3.708
Energy relative to the lowest polymorph listed for this composition (eV/atom): 0.031
Formation energy from the elements (meV/atom): -2346
M_tot (μB/f.u.): 0.00
MP2020-corrected energy (eV/atom): -5.816

a = 7.578 Å, b = 7.578 Å, c = 7.392 Å
α = 90.00°, β = 90.00°, γ = 90.00°
Space group P4_32_12 (No. 96)
Symmetry-distinct sites (fractional):
Rb 0.004 0.246 0.363
Be 0.033 0.720 0.342
O 0.113 0.887 0.250
O 0.128 0.633 0.506

Material: Na3Be3Pb2F13
Method: DFT, PBE-GGA
State: optimized geometry

Computed properties:
Density (g cm⁻³): 4.386
Formation energy from the elements (meV/atom): -3163
M_tot (μB/f.u.): 0.00
MP2020-corrected energy (eV/atom): -5.425

a = 9.557 Å, b = 7.150 Å, c = 9.647 Å
α = 90.00°, β = 119.55°, γ = 90.00°
Space group P2_1 (No. 4)
Symmetry-distinct sites (fractional):
Na 0.160 0.000 0.323
Na 0.162 0.487 0.323
Na 0.241 0.252 0.997
Be 0.093 0.244 0.625
Be 0.126 0.746 0.030
Be 0.473 0.744 0.595
Pb 0.249 0.747 0.764
Pb 0.492 0.245 0.760
F 0.014 0.747 0.846
F 0.033 0.741 0.123
F 0.094 0.740 0.463
F 0.154 0.418 0.738
F 0.158 0.245 0.505
F 0.162 0.071 0.741
F 0.243 0.921 0.083
F 0.245 0.572 0.078
F 0.344 0.246 0.338
F 0.374 0.741 0.409
F 0.411 0.916 0.652
F 0.419 0.569 0.659
F 0.490 0.306 0.007

Material: HfCu3
Method: DFT, PBE-GGA
State: optimized geometry

Computed properties:
Density (g cm⁻³): 10.778
Formation energy from the elements (meV/atom): -88
M_tot (μB/f.u.): 0.00

a = 6.104 Å, b = 6.104 Å, c = 6.104 Å
α = 90.00°, β = 90.00°, γ = 90.00°
Space group Fm-3m (No. 225)
Symmetry-distinct sites (fractional):
Hf 0.000 0.000 0.000
Cu 0.000 0.000 0.500
Cu 0.250 0.250 0.250

Material: Y2ClO2
Method: DFT, PBE-GGA
State: optimized geometry

Computed properties:
Density (g cm⁻³): 1.233
Formation energy from the elements (meV/atom): -1107
M_tot (μB/f.u.): 0.01
MP2020-corrected energy (eV/atom): -6.042

a = 5.004 Å, b = 5.004 Å, c = 13.189 Å
α = 90.00°, β = 90.00°, γ = 90.00°
Space group P4/mmm (No. 123)
Symmetry-distinct sites (fractional):
Y 0.000 0.000 0.214
Cl 0.000 0.000 0.000
O 0.000 0.000 0.352